Compound: Nd2InNi2
Source: the Materials Project database
Functional: GGA-PBE
Structure: relaxed

Properties
The space-group type is P4/mbm (127).

a b c (Å): 7.5908 7.5908 3.7881
angles (deg): 90.00 90.00 90.00
With the nearest neighbours (Å) after each atom.
Fractional positions:
Nd: 0.8248 0.6752 0.5000  6 Ni 2.92-2.95
Nd: 0.6752 0.1752 0.5000  6 Ni 2.92-2.95
Nd: 0.1752 0.3248 0.5000  6 Ni 2.92-2.95
Nd: 0.3248 0.8248 0.5000  6 Ni 2.92-2.95
Ni: 0.3826 0.1174 0.0000  1 Ni 2.52
Ni: 0.6174 0.8826 0.0000  1 Ni 2.52
Ni: 0.1174 0.6174 0.0000  1 Ni 2.52
Ni: 0.8826 0.3826 0.0000  1 Ni 2.52
In: 0.5000 0.5000 0.0000  4 Ni 3.04, 8 Nd 3.38
In: 0.0000 0.0000 0.0000  4 Ni 3.04, 8 Nd 3.38

Compound: Nd4In8Ni7
Source: the Materials Project database
Functional: GGA-PBE
Structure: relaxed

Properties
The space-group type is Cmmm (65).

a b c (Å): 4.3452 14.1359 14.1359
angles (deg): 117.22 90.00 90.00
With the nearest neighbours (Å) after each atom.
Fractional positions:
Nd: 0.0000 0.8158 0.8158  2 Ni 2.85
Nd: 0.0000 0.1842 0.1842  2 Ni 2.85
Nd: 0.0000 0.6517 0.0049  3 Ni 2.86-3.14
Nd: 0.0000 0.9951 0.3483  3 Ni 2.86-3.14
Nd: 0.5000 0.3944 0.6056  10 Ni 3.12-3.28, 4 In 3.32-3.35
Nd: 0.0000 0.0049 0.6517  3 Ni 2.86-3.14
Nd: 0.0000 0.3483 0.9951  3 Ni 2.86-3.14
Nd: 0.5000 0.6056 0.3944  10 Ni 3.12-3.28, 4 In 3.32-3.35
Ni: 0.0000 0.2083 0.5156  1 Ni 2.40, 3 In 2.63-2.66
Ni: 0.0000 0.6981 0.5895  4 Ni 2.40-2.62, 3 In 2.49-2.66
Ni: 0.0000 0.5895 0.6981  4 Ni 2.40-2.62, 3 In 2.49-2.66
Ni: 0.0000 0.4105 0.3019  4 Ni 2.40-2.62, 3 In 2.49-2.66
Ni: 0.5000 0.3781 0.3781  4 Ni 2.56, 4 In 2.72-2.82
Ni: 0.5000 0.0016 0.1907  5 In 2.60-2.69, 1 Ni 2.83
Ni: 0.5000 0.9984 0.8093  5 In 2.60-2.69, 1 Ni 2.83
Ni: 0.5000 0.8093 0.9984  5 In 2.60-2.69, 1 Ni 2.83
Ni: 0.5000 0.6219 0.6219  4 Ni 2.56, 4 In 2.72-2.82
Ni: 0.0000 0.4844 0.7917  1 Ni 2.40, 3 In 2.63-2.66
Ni: 0.0000 0.5156 0.2083  1 Ni 2.40, 3 In 2.63-2.66
Ni: 0.0000 0.7917 0.4844  1 Ni 2.40, 3 In 2.63-2.66
Ni: 0.5000 0.1907 0.0016  5 In 2.60-2.69, 1 Ni 2.83
Ni: 0.0000 0.3019 0.4105  4 Ni 2.40-2.62, 3 In 2.49-2.66
In: 0.5000 0.4426 0.8746  2 Ni 2.66
In: 0.5000 0.1895 0.8105  2 Ni 2.69
In: 0.0000 0.2774 0.7226  2 Ni 2.63
In: 0.0000 0.9129 0.0871  4 Ni 2.60
In: 0.5000 0.3690 0.1813  6 Ni 2.64-2.90
In: 0.5000 0.6310 0.8187  6 Ni 2.64-2.90
In: 0.5000 0.8187 0.6310  6 Ni 2.64-2.90
In: 0.5000 0.1813 0.3690  6 Ni 2.64-2.90
In: 0.5000 0.5574 0.1254  2 Ni 2.66
In: 0.5000 0.8746 0.4426  2 Ni 2.66
In: 0.0000 0.5000 0.5000  4 Ni 2.49
In: 0.0000 0.7226 0.2774  2 Ni 2.63
In: 0.5000 0.0000 0.0000  4 Ni 2.69
In: 0.5000 0.8105 0.1895  2 Ni 2.69
In: 0.5000 0.1254 0.5574  2 Ni 2.66
In: 0.0000 0.0871 0.9129  4 Ni 2.60

Compound: NdInNi
Source: the Materials Project database
Functional: GGA-PBE
Structure: relaxed

Properties
The space-group type is Amm2 (38).

a b c (Å): 7.8848 7.8818 3.7940
angles (deg): 90.00 90.00 119.36
With the nearest neighbours (Å) after each atom.
Fractional positions:
Ni: 0.9985 0.9985 0.0000  3 In 2.66
Ni: 0.3319 0.6650 0.0000  3 In 2.62-2.63
Ni: 0.6651 0.3318 0.0000  3 In 2.62-2.63
In: 0.0001 0.3365 0.0000  3 Ni 2.62-2.66
In: 0.3365 0.0002 0.0000  3 Ni 2.62-2.66
In: 0.6640 0.6640 0.9999  3 Ni 2.62-2.66
Nd: 0.6713 0.0014 0.5000  6 Ni 3.21-3.29, 6 In 3.24-3.25
Nd: 0.0014 0.6714 0.5000  6 Ni 3.21-3.29, 6 In 3.24-3.25
Nd: 0.3313 0.3313 0.5000  6 Ni 3.24-3.26, 6 In 3.24-3.26

no.,V (A^3/atom),ΔH_f (0 K) (eV per atom)
1,21.83,-0.429
2,20.32,-0.379
3,22.83,-0.327